Entry 1:
Material: Li3RhF6
Method: DFT, PBE-GGA
State: relaxed

Cell and atoms, written as CIF:
```
data_Li3RhF6
_chemical_formula_sum 'Li3 Rh1 F6'
_cell_length_a 5.191
_cell_length_b 5.283
_cell_length_c 5.652
_cell_angle_alpha 116.49
_cell_angle_beta 90.84
_cell_angle_gamma 99.90
_symmetry_space_group_name_H-M 'P 1'
_symmetry_Int_Tables_number 1
loop_
_symmetry_equiv_pos_as_xyz
'x,y,z'
loop_
_atom_site_label
_atom_site_type_symbol
_atom_site_fract_x
_atom_site_fract_y
_atom_site_fract_z
_atom_site_occupancy
Li1 Li 0.000 0.000 0.000 1
Li2 Li 0.000 0.500 0.000 1
Li3 Li 0.500 0.000 0.500 1
Rh1 Rh 0.500 0.500 0.000 1
F1 F 0.226 0.395 0.210 1
F2 F 0.243 0.189 0.699 1
F3 F 0.291 0.815 0.071 1
F4 F 0.709 0.185 0.929 1
F5 F 0.757 0.811 0.301 1
F6 F 0.774 0.605 0.790 1
```

Calculated values
Size of the total moment, μB/cell: 0.00
Calculated formation energy, eV per formula unit: -25.355
DFT total energy, eV/atom: -4.716
SG: P-1
Theoretical density, g cm⁻³: 2.904

***

Entry 2:
Material: LiZnRhF6
Method: DFT, PBE-GGA
State: relaxed

Cell and atoms, written as CIF:
```
data_LiZnRhF6
_chemical_formula_sum 'Li2 Zn2 Rh2 F12'
_cell_length_a 4.763
_cell_length_b 4.763
_cell_length_c 9.437
_cell_angle_alpha 90.00
_cell_angle_beta 90.00
_cell_angle_gamma 90.00
_symmetry_space_group_name_H-M 'P 1'
_symmetry_Int_Tables_number 1
loop_
_symmetry_equiv_pos_as_xyz
'x,y,z'
loop_
_atom_site_label
_atom_site_type_symbol
_atom_site_fract_x
_atom_site_fract_y
_atom_site_fract_z
_atom_site_occupancy
Li1 Li 0.000 0.000 0.000 1
Li2 Li 0.500 0.500 0.500 1
Zn1 Zn 0.000 0.000 0.670 1
Zn2 Zn 0.500 0.500 0.170 1
Rh1 Rh 0.000 0.000 0.333 1
Rh2 Rh 0.500 0.500 0.833 1
F1 F 0.193 0.193 0.497 1
F2 F 0.194 0.194 0.170 1
F3 F 0.200 0.200 0.835 1
F4 F 0.300 0.700 0.335 1
F5 F 0.306 0.694 0.670 1
F6 F 0.307 0.693 0.997 1
F7 F 0.693 0.307 0.997 1
F8 F 0.694 0.306 0.670 1
F9 F 0.700 0.300 0.335 1
F10 F 0.800 0.800 0.835 1
F11 F 0.806 0.806 0.170 1
F12 F 0.807 0.807 0.497 1
```

Calculated values
Size of the total moment, μB/cell: 0.00
Piezoelectric modulus e_max, C/m2: 0.19
Calculated formation energy, eV per formula unit: -21.693
DFT total energy, eV/atom: -4.549
SG: P4_2nm
Theoretical density, g cm⁻³: 4.488

***

Entry 3:
Material: Li3RuF6
Method: DFT, PBE-GGA
State: relaxed

Cell and atoms, written as CIF:
```
data_Li3RuF6
_chemical_formula_sum 'Li3 Ru1 F6'
_cell_length_a 5.581
_cell_length_b 5.581
_cell_length_c 5.581
_cell_angle_alpha 60.00
_cell_angle_beta 60.00
_cell_angle_gamma 60.00
_symmetry_space_group_name_H-M 'P 1'
_symmetry_Int_Tables_number 1
loop_
_symmetry_equiv_pos_as_xyz
'x,y,z'
loop_
_atom_site_label
_atom_site_type_symbol
_atom_site_fract_x
_atom_site_fract_y
_atom_site_fract_z
_atom_site_occupancy
Li1 Li 0.000 0.000 0.000 1
Li2 Li 0.250 0.250 0.250 1
Li3 Li 0.750 0.750 0.750 1
Ru1 Ru 0.500 0.500 0.500 1
F1 F 0.247 0.247 0.753 1
F2 F 0.247 0.753 0.247 1
F3 F 0.247 0.753 0.753 1
F4 F 0.753 0.247 0.247 1
F5 F 0.753 0.247 0.753 1
F6 F 0.753 0.753 0.247 1
```

Calculated values
Size of the total moment, μB/cell: 1.00
Calculated formation energy, eV per formula unit: -24.349
DFT total energy, eV/atom: -4.807
SG: Fm-3m
Theoretical density, g cm⁻³: 3.187

***

Entry 4:
Material: Li2RuF6
Method: DFT, PBE-GGA
State: relaxed

Cell and atoms, written as CIF:
```
data_Li2RuF6
_chemical_formula_sum 'Li4 Ru2 F12'
_cell_length_a 4.719
_cell_length_b 4.719
_cell_length_c 9.297
_cell_angle_alpha 90.00
_cell_angle_beta 90.00
_cell_angle_gamma 90.00
_symmetry_space_group_name_H-M 'P 1'
_symmetry_Int_Tables_number 1
loop_
_symmetry_equiv_pos_as_xyz
'x,y,z'
loop_
_atom_site_label
_atom_site_type_symbol
_atom_site_fract_x
_atom_site_fract_y
_atom_site_fract_z
_atom_site_occupancy
Li1 Li 0.000 0.000 0.168 1
Li2 Li 0.000 0.000 0.832 1
Li3 Li 0.500 0.500 0.332 1
Li4 Li 0.500 0.500 0.668 1
Ru1 Ru 0.000 0.000 0.500 1
Ru2 Ru 0.500 0.500 0.000 1
F1 F 0.194 0.194 0.340 1
F2 F 0.194 0.194 0.660 1
F3 F 0.212 0.212 0.000 1
F4 F 0.288 0.712 0.500 1
F5 F 0.306 0.694 0.160 1
F6 F 0.306 0.694 0.840 1
F7 F 0.694 0.306 0.160 1
F8 F 0.694 0.306 0.840 1
F9 F 0.712 0.288 0.500 1
F10 F 0.788 0.788 0.000 1
F11 F 0.806 0.806 0.340 1
F12 F 0.806 0.806 0.660 1
```

Calculated values
Calculated formation energy, eV per formula unit: -23.362
DFT total energy, eV/atom: -5.019
SG: P4_2/mnm
Theoretical density, g cm⁻³: 3.673

***

Entry 5:
Material: LiSb2F7
Method: DFT, PBE-GGA
State: relaxed

Cell and atoms, written as CIF:
```
data_LiSb2F7
_chemical_formula_sum 'Li4 Sb8 F28'
_cell_length_a 8.900
_cell_length_b 14.675
_cell_length_c 4.906
_cell_angle_alpha 90.00
_cell_angle_beta 90.00
_cell_angle_gamma 90.00
_symmetry_space_group_name_H-M 'P 1'
_symmetry_Int_Tables_number 1
loop_
_symmetry_equiv_pos_as_xyz
'x,y,z'
loop_
_atom_site_label
_atom_site_type_symbol
_atom_site_fract_x
_atom_site_fract_y
_atom_site_fract_z
_atom_site_occupancy
Li1 Li 0.071 0.250 0.132 1
Li2 Li 0.429 0.750 0.632 1
Li3 Li 0.571 0.250 0.368 1
Li4 Li 0.929 0.750 0.868 1
Sb1 Sb 0.114 0.601 0.313 1
Sb2 Sb 0.114 0.899 0.313 1
Sb3 Sb 0.386 0.101 0.813 1
Sb4 Sb 0.386 0.399 0.813 1
Sb5 Sb 0.614 0.601 0.187 1
Sb6 Sb 0.614 0.899 0.187 1
Sb7 Sb 0.886 0.101 0.687 1
Sb8 Sb 0.886 0.399 0.687 1
F1 F 0.004 0.657 0.617 1
F2 F 0.004 0.843 0.617 1
F3 F 0.090 0.750 0.147 1
F4 F 0.151 0.501 0.594 1
F5 F 0.151 0.999 0.594 1
F6 F 0.196 0.153 0.952 1
F7 F 0.196 0.347 0.952 1
F8 F 0.304 0.653 0.452 1
F9 F 0.304 0.847 0.452 1
F10 F 0.349 0.001 0.094 1
F11 F 0.349 0.499 0.094 1
F12 F 0.410 0.250 0.647 1
F13 F 0.496 0.157 0.117 1
F14 F 0.496 0.343 0.117 1
F15 F 0.504 0.657 0.883 1
F16 F 0.504 0.843 0.883 1
F17 F 0.590 0.750 0.353 1
F18 F 0.651 0.501 0.906 1
F19 F 0.651 0.999 0.906 1
F20 F 0.696 0.153 0.548 1
F21 F 0.696 0.347 0.548 1
F22 F 0.804 0.653 0.048 1
F23 F 0.804 0.847 0.048 1
F24 F 0.849 0.001 0.406 1
F25 F 0.849 0.499 0.406 1
F26 F 0.910 0.250 0.853 1
F27 F 0.996 0.157 0.383 1
F28 F 0.996 0.343 0.383 1
```

Calculated values
Calculated formation energy, eV per formula unit: -27.877
DFT total energy, eV/atom: -4.821
SG: Pnma
Theoretical density, g cm⁻³: 3.975

***

Entry 6:
Material: LiScF2
Method: DFT, PBE-GGA
State: relaxed

Cell and atoms, written as CIF:
```
data_LiScF2
_chemical_formula_sum 'Li4 Sc4 F8'
_cell_length_a 7.463
_cell_length_b 7.463
_cell_length_c 7.463
_cell_angle_alpha 132.74
_cell_angle_beta 132.74
_cell_angle_gamma 69.07
_symmetry_space_group_name_H-M 'P 1'
_symmetry_Int_Tables_number 1
loop_
_symmetry_equiv_pos_as_xyz
'x,y,z'
loop_
_atom_site_label
_atom_site_type_symbol
_atom_site_fract_x
_atom_site_fract_y
_atom_site_fract_z
_atom_site_occupancy
Li1 Li 0.000 0.000 0.000 1
Li2 Li 0.000 0.000 0.500 1
Li3 Li 0.000 0.500 0.000 1
Li4 Li 0.500 0.000 0.500 1
Sc1 Sc 0.000 0.500 0.500 1
Sc2 Sc 0.500 0.000 0.000 1
Sc3 Sc 0.500 0.500 0.000 1
Sc4 Sc 0.500 0.500 0.500 1
F1 F 0.185 0.685 0.500 1
F2 F 0.315 0.315 0.000 1
F3 F 0.315 0.315 0.500 1
F4 F 0.315 0.815 0.000 1
F5 F 0.685 0.185 0.000 1
F6 F 0.685 0.685 0.000 1
F7 F 0.685 0.685 0.500 1
F8 F 0.815 0.315 0.500 1
```

Calculated values
Size of the total moment, μB/cell: 0.00
Calculated formation energy, eV per formula unit: -10.075
DFT total energy, eV/atom: -5.305
SG: I4_1/amd
Theoretical density, g cm⁻³: 2.713

***

Entry 7:
Material: LiScF4
Method: DFT, PBE-GGA
State: relaxed

Cell and atoms, written as CIF:
```
data_LiScF4
_chemical_formula_sum 'Li2 Sc2 F8'
_cell_length_a 6.221
_cell_length_b 6.221
_cell_length_c 6.221
_cell_angle_alpha 132.03
_cell_angle_beta 132.03
_cell_angle_gamma 70.18
_symmetry_space_group_name_H-M 'P 1'
_symmetry_Int_Tables_number 1
loop_
_symmetry_equiv_pos_as_xyz
'x,y,z'
loop_
_atom_site_label
_atom_site_type_symbol
_atom_site_fract_x
_atom_site_fract_y
_atom_site_fract_z
_atom_site_occupancy
Li1 Li 0.375 0.125 0.250 1
Li2 Li 0.625 0.875 0.750 1
Sc1 Sc 0.125 0.375 0.750 1
Sc2 Sc 0.875 0.625 0.250 1
F1 F 0.116 0.755 0.782 1
F2 F 0.166 0.384 0.139 1
F3 F 0.255 0.973 0.639 1
F4 F 0.473 0.334 0.718 1
F5 F 0.527 0.666 0.282 1
F6 F 0.745 0.027 0.361 1
F7 F 0.834 0.616 0.861 1
F8 F 0.884 0.245 0.218 1
```

Calculated values
Size of the total moment, μB/cell: 0.00
Calculated formation energy, eV per formula unit: -23.313
DFT total energy, eV/atom: -6.227
SG: I4_1/a
Theoretical density, g cm⁻³: 3.262

***

Entry 8:
Material: Li2SiF6
Method: DFT, PBE-GGA
State: relaxed

Cell and atoms, written as CIF:
```
data_Li2SiF6
_chemical_formula_sum 'Li6 Si3 F18'
_cell_length_a 8.351
_cell_length_b 8.351
_cell_length_c 4.630
_cell_angle_alpha 90.00
_cell_angle_beta 90.00
_cell_angle_gamma 120.00
_symmetry_space_group_name_H-M 'P 1'
_symmetry_Int_Tables_number 1
loop_
_symmetry_equiv_pos_as_xyz
'x,y,z'
loop_
_atom_site_label
_atom_site_type_symbol
_atom_site_fract_x
_atom_site_fract_y
_atom_site_fract_z
_atom_site_occupancy
Li1 Li 0.000 0.295 0.000 1
Li2 Li 0.000 0.631 0.500 1
Li3 Li 0.295 0.000 0.000 1
Li4 Li 0.369 0.369 0.500 1
Li5 Li 0.631 0.000 0.500 1
Li6 Li 0.705 0.705 0.000 1
Si1 Si 0.000 0.000 0.500 1
Si2 Si 0.333 0.667 0.985 1
Si3 Si 0.667 0.333 0.015 1
F1 F 0.093 0.898 0.710 1
F2 F 0.102 0.195 0.710 1
F3 F 0.139 0.556 0.774 1
F4 F 0.195 0.102 0.290 1
F5 F 0.228 0.756 0.195 1
F6 F 0.244 0.472 0.195 1
F7 F 0.416 0.861 0.774 1
F8 F 0.444 0.584 0.774 1
F9 F 0.472 0.244 0.805 1
F10 F 0.528 0.772 0.195 1
F11 F 0.556 0.139 0.226 1
F12 F 0.584 0.444 0.226 1
F13 F 0.756 0.228 0.805 1
F14 F 0.772 0.528 0.805 1
F15 F 0.805 0.907 0.710 1
F16 F 0.861 0.416 0.226 1
F17 F 0.898 0.093 0.290 1
F18 F 0.907 0.805 0.290 1
```

Calculated values
Calculated formation energy, eV per formula unit: -30.650
DFT total energy, eV/atom: -5.401
SG: P321
Theoretical density, g cm⁻³: 2.778